The following is a DFT calculation (meta-GGA r2SCAN) of TbAl10Re2 after structural relaxation.

The structure in CIF format:
```
data_TbAl10Re2
_chemical_formula_sum 'Tb8 Al80 Re16'
_symmetry_space_group_name_H-M 'C m c m'
_symmetry_Int_Tables_number 63
_symmetry_space_group_name_Hall '-C 2c 2'
_cell_length_a 9.2019
_cell_length_b 10.3003
_cell_length_c 17.9902
_cell_angle_alpha 90.00
_cell_angle_beta 90.00
_cell_angle_gamma 90.00
loop_
_atom_site_label
_atom_site_fract_x
_atom_site_fract_y
_atom_site_fract_z
_atom_site_occupancy
Tb1 0.0000 0.0000 0.0000 1
Tb2 0.0000 0.2563 0.2500 1
Al1 0.0000 0.0353 0.6746 1
Al2 0.0000 0.2497 0.5925 1
Al3 0.0000 0.2833 0.0742 1
Al4 0.0000 0.4946 0.6435 1
Al5 0.1492 0.2394 0.7500 1
Al6 0.1496 0.5000 0.0000 1
Al7 0.2203 0.1276 0.1301 1
Al8 0.2210 0.4880 0.2500 1
Al9 0.2500 0.2500 0.0000 1
Re1 0.2482 0.3777 0.1212 1
```

## Properties
Magnetization   0.0 μB/f.u.
Uncorrected energy   -16.053 eV/atom
Density   6.24 Mg/m³
Formation enthalpy at 0 K   -409 meV/atom